The following is a PBE+U calculation of crystalline Li3CrCo3O8 at its relaxed geometry, from the Materials Project.

a = 5.7715 Å, b = 5.8814 Å, c = 10.3653 Å
α = 73.87°, β = 73.84°, γ = 60.72°
Fractional coordinates of all 30 atoms:
Li  0.2449  0.2568  0.2507
Li  0.2515  0.7451  0.2541
Li  0.2523  0.7453  0.7489
Li  0.7477  0.2547  0.2511
Li  0.7485  0.2549  0.7459
Li  0.7551  0.7432  0.7493
Cr  0.0000  0.0000  0.5000
Cr  0.5000  0.5000  0.0000
Co  0.0000  0.0000  0.0000
Co  0.0000  0.5000  0.0000
Co  0.0000  0.5000  0.5000
Co  0.5000  0.0000  0.0000
Co  0.5000  0.0000  0.5000
Co  0.5000  0.5000  0.5000
O  0.1206  0.1470  0.1118
O  0.1280  0.6186  0.1060
O  0.1319  0.6332  0.6066
O  0.1422  0.1220  0.6084
O  0.3521  0.3814  0.8939
O  0.3679  0.8689  0.8953
O  0.3689  0.8849  0.3909
O  0.3703  0.3779  0.3797
O  0.6297  0.6221  0.6203
O  0.6311  0.1151  0.6091
O  0.6321  0.1311  0.1047
O  0.6479  0.6186  0.1061
O  0.8578  0.8780  0.3916
O  0.8681  0.3668  0.3934
O  0.8720  0.3814  0.8940
O  0.8794  0.8530  0.8882

Properties
Its space group is P-1, No. 2. The uncorrected energy is -5.9670 eV per atom. The energy relative to the elements comes out at -1.708 eV per atom.



The following is a PBE+U calculation of crystalline Li2CrCo3O8 at its relaxed geometry, from the Materials Project.

a = 8.1481 Å, b = 8.1487 Å, c = 8.1665 Å
α = 90.28°, β = 90.15°, γ = 90.21°
Fractional coordinates of all 56 atoms:
Li  0.0000  0.0000  0.0000
Li  0.9997  0.4991  0.5018
Li  0.2465  0.2525  0.7512
Li  0.2496  0.7500  0.2503
Li  0.5000  0.5017  0.0019
Li  0.5016  0.9973  0.5026
Li  0.7490  0.7524  0.7499
Li  0.7512  0.2540  0.2517
Cr  0.1236  0.3756  0.1243
Cr  0.3718  0.8752  0.8749
Cr  0.6249  0.6249  0.3757
Cr  0.8734  0.1266  0.6255
Co  0.1201  0.6251  0.8735
Co  0.1256  0.8722  0.6212
Co  0.1302  0.1221  0.3765
Co  0.3711  0.6212  0.6255
Co  0.3762  0.3699  0.3811
Co  0.3795  0.1266  0.1310
Co  0.6210  0.3750  0.6292
Co  0.6241  0.1307  0.8793
Co  0.6290  0.8800  0.1268
Co  0.8693  0.3809  0.8766
Co  0.8758  0.6298  0.1215
Co  0.8794  0.8767  0.3715
O  0.1040  0.3911  0.8826
O  0.1071  0.6201  0.1088
O  0.1127  0.8894  0.3855
O  0.1177  0.1089  0.6063
O  0.1400  0.6379  0.6371
O  0.1401  0.8643  0.8585
O  0.1409  0.3503  0.3727
O  0.1490  0.1263  0.1451
O  0.3600  0.6377  0.8598
O  0.3624  0.8561  0.6382
O  0.3649  0.1354  0.3644
O  0.3717  0.3546  0.1467
O  0.3779  0.6065  0.3956
O  0.3887  0.3869  0.6156
O  0.3904  0.1167  0.8930
O  0.3900  0.8932  0.1128
O  0.6040  0.6070  0.6215
O  0.6109  0.1168  0.1130
O  0.6112  0.8969  0.8904
O  0.6115  0.3812  0.3968
O  0.6269  0.1440  0.6472
O  0.6328  0.3614  0.8633
O  0.6429  0.6460  0.1302
O  0.6469  0.8706  0.3608
O  0.8504  0.3733  0.6408
O  0.8543  0.1425  0.8716
O  0.8626  0.8647  0.1396
O  0.8716  0.6446  0.3553
O  0.8804  0.3978  0.1108
O  0.8848  0.6156  0.8906
O  0.8903  0.8808  0.6029
O  0.8944  0.1078  0.3807

Properties
Its space group is P1, No. 1. The uncorrected energy is -6.1253 eV per atom. The energy relative to the elements comes out at -1.699 eV per atom.



The following is a PBE+U calculation of crystalline Li3CrCo3O8 at its relaxed geometry, from the Materials Project.

a = 5.9210 Å, b = 5.9210 Å, c = 10.1386 Å
α = 106.92°, β = 106.92°, γ = 59.00°
Fractional coordinates of all 30 atoms:
Li  0.0004  0.4995  0.2500
Li  0.2502  0.2502  0.0001
Li  0.2506  0.2500  0.4997
Li  0.5005  0.9996  0.7500
Li  0.7500  0.7494  0.5003
Li  0.7498  0.7498  0.9999
Cr  0.2474  0.7526  0.0000
Cr  0.7518  0.2482  0.5000
Co  0.0008  0.9993  0.2498
Co  0.0007  0.9992  0.7502
Co  0.2507  0.7493  0.5000
Co  0.5005  0.4992  0.2500
Co  0.5008  0.4995  0.7500
Co  0.7489  0.2511  0.0000
O  0.0935  0.1219  0.1148
O  0.1217  0.0935  0.6150
O  0.1410  0.6356  0.1319
O  0.1421  0.6433  0.6180
O  0.3567  0.8579  0.3820
O  0.3644  0.8590  0.8681
O  0.3803  0.4056  0.3861
O  0.4061  0.3802  0.8862
O  0.5944  0.6197  0.6139
O  0.6198  0.5939  0.1138
O  0.6361  0.1407  0.6320
O  0.6424  0.1430  0.1177
O  0.8570  0.3576  0.8823
O  0.8593  0.3639  0.3680
O  0.8781  0.9065  0.8852
O  0.9065  0.8783  0.3850

Properties
Its space group is C2, No. 5. The uncorrected energy is -6.0355 eV per atom. The energy relative to the elements comes out at -1.777 eV per atom.



The following is a PBE+U calculation of crystalline Li3CrCo3O8 at its relaxed geometry, from the Materials Project.

a = 5.7690 Å, b = 5.8846 Å, c = 10.3603 Å
α = 90.36°, β = 106.06°, γ = 119.32°
Fractional coordinates of all 30 atoms:
Li  0.0012  0.2548  0.2490
Li  0.4942  0.7450  0.2461
Li  0.4952  0.7427  0.7505
Li  0.5048  0.2573  0.2495
Li  0.5058  0.2550  0.7539
Li  0.9988  0.7452  0.7510
Cr  0.5000  0.0000  0.0000
Cr  0.5000  0.5000  0.5000
Co  0.0000  0.0000  0.0000
Co  0.0000  0.0000  0.5000
Co  0.0000  0.5000  0.0000
Co  0.0000  0.5000  0.5000
Co  0.5000  0.0000  0.5000
Co  0.5000  0.5000  0.0000
O  0.2324  0.8530  0.6117
O  0.2337  0.3814  0.6060
O  0.2399  0.8851  0.1091
O  0.2462  0.6186  0.3939
O  0.2496  0.1218  0.8918
O  0.2502  0.3782  0.1204
O  0.2615  0.6330  0.8935
O  0.2632  0.1310  0.3953
O  0.7368  0.8690  0.6047
O  0.7385  0.3670  0.1065
O  0.7498  0.6218  0.8796
O  0.7504  0.8782  0.1082
O  0.7538  0.3814  0.6061
O  0.7601  0.1149  0.8909
O  0.7663  0.6186  0.3940
O  0.7676  0.1470  0.3883

Properties
Its space group is P-1, No. 2. The uncorrected energy is -5.9706 eV per atom. The energy relative to the elements comes out at -1.712 eV per atom.



| no. | excess energy over the best structure of this formula in the dataset (eV/f.u.) | V (Å³ per cell) |
| --- | --- | --- |
| 1 | 1.03 | 290.5 |
| 2 | 0.00 | 542.2 |
| 3 | 0.00 | 287.1 |
| 4 | 0.97 | 290.4 |